[1]
The following is a DFT calculation (PBE) of ZnH8C2S2I2N4 after structural relaxation.

a b c (Å): 11.099 8.104 15.145
angles (deg): 90.00 90.22 90.00
Space group P2_1/c (No. 14)
Inequivalent atoms, fractional coordinates:
Zn  0.235  0.018  0.115 [4 per cell]
H  0.034  0.521  0.122 [4 per cell]
H  0.073  0.126  0.444 [4 per cell]
H  0.158  0.574  0.314 [4 per cell]
H  0.258  0.187  0.389 [4 per cell]
H  0.293  0.146  0.278 [4 per cell]
H  0.296  0.666  0.284 [4 per cell]
H  0.382  0.736  0.507 [4 per cell]
H  0.431  0.742  0.398 [4 per cell]
C  0.124  0.078  0.317 [4 per cell]
C  0.260  0.652  0.417 [4 per cell]
S  0.076  0.510  0.719 [4 per cell]
S  0.146  0.605  0.490 [4 per cell]
I  0.270  0.164  0.581 [4 per cell]
I  0.431  0.626  0.677 [4 per cell]
N  0.048  0.076  0.385 [4 per cell]
N  0.232  0.148  0.328 [4 per cell]
N  0.240  0.622  0.332 [4 per cell]
N  0.363  0.722  0.442 [4 per cell]

Properties
The energy of formation is -0.44 eV per atom. The calculation puts the volume at 1362.3 Å³/cell. The calculation puts the total moment at 0.064 μB per formula unit.



[2]
The following is a DFT calculation (PBE) of SnH5CI3N2 after structural relaxation.

a b c (Å): 6.555 8.731 9.135
angles (deg): 90.00 90.00 90.00
Space group Amm2 (No. 38)
Inequivalent atoms, fractional coordinates:
Sn  0.000  0.000  0.000 [2 per cell]
H  0.194  0.000  0.474 [4 per cell]
H  0.308  0.000  0.647 [4 per cell]
H  0.500  0.000  0.349 [2 per cell]
C  0.500  0.000  0.469 [2 per cell]
I  0.000  0.249  0.262 [4 per cell]
I  0.500  0.000  0.003 [2 per cell]
N  0.323  0.000  0.536 [4 per cell]

Properties
The energy of formation is -0.41 eV per atom. The calculation puts the volume at 522.8 Å³/cell. The calculation puts the total moment at 0.004 μB per formula unit.



[3]
The following is a DFT calculation (PBE) of Sn3H28C9IN after structural relaxation.

a b c (Å): 16.570 16.570 16.570
angles (deg): 90.00 90.00 90.00
Space group P2_13 (No. 198)
Inequivalent atoms, fractional coordinates:
Sn  0.036  0.216  0.166 [12 per cell]
Sn  0.037  0.288  0.678 [12 per cell]
H  0.001  0.897  0.937 [12 per cell]
H  0.003  0.391  0.804 [12 per cell]
H  0.008  0.131  0.641 [12 per cell]
H  0.011  0.568  0.387 [12 per cell]
H  0.021  0.066  0.293 [12 per cell]
H  0.025  0.754  0.187 [12 per cell]
H  0.028  0.827  0.435 [12 per cell]
H  0.031  0.534  0.701 [12 per cell]
H  0.034  0.294  0.842 [12 per cell]
H  0.049  0.328  0.284 [12 per cell]
H  0.055  0.138  0.738 [12 per cell]
H  0.066  0.365  0.102 [12 per cell]
H  0.066  0.807  0.699 [12 per cell]
H  0.079  0.602  0.310 [12 per cell]
H  0.082  0.234  0.324 [12 per cell]
H  0.087  0.641  0.410 [12 per cell]
H  0.092  0.854  0.896 [12 per cell]
H  0.115  0.146  0.649 [12 per cell]
H  0.191  0.191  0.191 [4 per cell]
H  0.195  0.305  0.695 [4 per cell]
C  0.002  0.826  0.704 [12 per cell]
C  0.031  0.841  0.918 [12 per cell]
C  0.035  0.263  0.287 [12 per cell]
C  0.036  0.312  0.077 [12 per cell]
C  0.045  0.619  0.364 [12 per cell]
C  0.057  0.160  0.676 [12 per cell]
I  0.200  0.800  0.300 [4 per cell]
I  0.202  0.702  0.798 [4 per cell]
N  0.155  0.155  0.155 [4 per cell]
N  0.158  0.342  0.658 [4 per cell]

Properties
The energy of formation is -0.13 eV per atom. The calculation puts the volume at 4550.0 Å³/cell. The calculation puts the total moment at 0.002 μB per formula unit.



- Which of these has the highest energy of formation?
  Sn3H28C9IN



What did the second record say?
The following is a DFT calculation (PBE) of SnH5CI3N2 after structural relaxation.

a b c (Å): 6.555 8.731 9.135
angles (deg): 90.00 90.00 90.00
Space group Amm2 (No. 38)
Inequivalent atoms, fractional coordinates:
Sn  0.000  0.000  0.000 [2 per cell]
H  0.194  0.000  0.474 [4 per cell]
H  0.308  0.000  0.647 [4 per cell]
H  0.500  0.000  0.349 [2 per cell]
C  0.500  0.000  0.469 [2 per cell]
I  0.000  0.249  0.262 [4 per cell]
I  0.500  0.000  0.003 [2 per cell]
N  0.323  0.000  0.536 [4 per cell]

Properties
The energy of formation is -0.41 eV per atom. The calculation puts the volume at 522.8 Å³/cell. The calculation puts the total moment at 0.004 μB per formula unit.



Please write out number 2 again, unchanged.
The following is a DFT calculation (PBE) of SnH5CI3N2 after structural relaxation.

a b c (Å): 6.555 8.731 9.135
angles (deg): 90.00 90.00 90.00
Space group Amm2 (No. 38)
Inequivalent atoms, fractional coordinates:
Sn  0.000  0.000  0.000 [2 per cell]
H  0.194  0.000  0.474 [4 per cell]
H  0.308  0.000  0.647 [4 per cell]
H  0.500  0.000  0.349 [2 per cell]
C  0.500  0.000  0.469 [2 per cell]
I  0.000  0.249  0.262 [4 per cell]
I  0.500  0.000  0.003 [2 per cell]
N  0.323  0.000  0.536 [4 per cell]

Properties
The energy of formation is -0.41 eV per atom. The calculation puts the volume at 522.8 Å³/cell. The calculation puts the total moment at 0.004 μB per formula unit.



- energy of formation of number 3 (Sn3H28C9IN)?
  -0.13 eV per atom